<w>
Compound: Li2Sn3P4O14
Source: the Materials Project
Functional: GGA-PBE
Structure: optimized geometry

Values from the calculation:
- total magnetic moment (Bohr magnetons per cell) = 0.0
- crystal system = triclinic

```
data_Li2Sn3P4O14
_chemical_formula_sum 'Li2 Sn3 P4 O14'
_space_group_name_H-M_alt 'P -1'
_space_group_IT_number 2
_cell_length_a 6.3181
_cell_length_b 7.5758
_cell_length_c 8.0222
_cell_angle_alpha 103.51
_cell_angle_beta 97.93
_cell_angle_gamma 113.56
loop_
_space_group_symop_operation_xyz
'x,y,z'
'-x,-y,-z'
loop_
_atom_site_label
_atom_site_type_symbol
_atom_site_fract_x
_atom_site_fract_y
_atom_site_fract_z
Li1 Li 0.2152 0.0381 0.3048
Sn1 Sn 0.1912 0.4747 0.7010
Sn2 Sn 0.5000 0.0000 0.0000
P1 P 0.1479 0.3062 0.0682
P2 P 0.4091 0.7344 0.3346
O1 O 0.0752 0.7195 0.8628
O2 O 0.0957 0.2617 0.8651
O3 O 0.1975 0.6683 0.4214
O4 O 0.2690 0.1854 0.1302
O5 O 0.3390 0.5467 0.1497
O6 O 0.3590 0.2376 0.5500
O7 O 0.4348 0.9146 0.2705
```



<x>
Compound: Li2Sn3P4O14
Source: the Materials Project
Functional: GGA-PBE
Structure: optimized geometry

Values from the calculation:
- total magnetic moment (Bohr magnetons per cell) = 0.0
- crystal system = triclinic

```
data_Li2Sn3P4O14
_chemical_formula_sum 'Li4 Sn6 P8 O28'
_space_group_name_H-M_alt 'P -1'
_space_group_IT_number 2
_cell_length_a 6.0035
_cell_length_b 7.2978
_cell_length_c 16.3241
_cell_angle_alpha 82.83
_cell_angle_beta 84.67
_cell_angle_gamma 68.57
loop_
_space_group_symop_operation_xyz
'x,y,z'
'-x,-y,-z'
loop_
_atom_site_label
_atom_site_type_symbol
_atom_site_fract_x
_atom_site_fract_y
_atom_site_fract_z
Li1 Li 0.1200 0.1575 0.4933
Li2 Li 0.3019 0.6753 0.6004
Sn1 Sn 0.0969 0.6121 0.3227
Sn2 Sn 0.1402 0.2796 0.0812
Sn3 Sn 0.2704 0.9727 0.8263
P1 P 0.1688 0.0814 0.3097
P2 P 0.2638 0.8009 0.0431
P3 P 0.3860 0.4473 0.8238
P4 P 0.4541 0.7668 0.4326
O1 O 0.0119 0.9561 0.3018
O2 O 0.0436 0.2397 0.3700
O3 O 0.1132 0.6771 0.0320
O4 O 0.1258 0.9661 0.1009
O5 O 0.2145 0.6559 0.8462
O6 O 0.2477 0.3292 0.7964
O7 O 0.2587 0.1608 0.2277
O8 O 0.2708 0.8644 0.5013
O9 O 0.2846 0.2888 0.5489
O10 O 0.3604 0.8863 0.9633
O11 O 0.4012 0.5893 0.4066
O12 O 0.4138 0.5267 0.2348
O13 O 0.4135 0.9315 0.3523
O14 O 0.4936 0.3380 0.9123
```



<y>
Compound: Li2Sn3P4O14
Source: the Materials Project
Functional: GGA-PBE
Structure: optimized geometry

Values from the calculation:
- total magnetic moment (Bohr magnetons per cell) = 0.0
- crystal system = monoclinic

```
data_Li2Sn3P4O14
_chemical_formula_sum 'Li4 Sn6 P8 O28'
_space_group_name_H-M_alt 'P 1 21/c 1'
_space_group_IT_number 14
_cell_length_a 8.0033
_cell_length_b 8.2006
_cell_length_c 11.1999
_cell_angle_alpha 90.00
_cell_angle_beta 108.98
_cell_angle_gamma 90.00
loop_
_space_group_symop_operation_xyz
'x,y,z'
'-x,-y,-z'
'-x,y+1/2,-z+1/2'
'x,-y+1/2,z+1/2'
loop_
_atom_site_label
_atom_site_type_symbol
_atom_site_fract_x
_atom_site_fract_y
_atom_site_fract_z
Li1 Li 0.2061 0.0656 0.1786
Sn1 Sn 0.2879 0.1225 0.4960
Sn2 Sn 0.5000 0.0000 0.0000
P1 P 0.1046 0.0417 0.7258
P2 P 0.3635 0.7075 0.1905
O1 O 0.0913 0.5091 0.7970
O2 O 0.1350 0.1695 0.6321
O3 O 0.1747 0.6335 0.1896
O4 O 0.2088 0.0818 0.8632
O5 O 0.3245 0.6204 0.6369
O6 O 0.4254 0.5956 0.1006
O7 O 0.4935 0.7001 0.3261
```



Stability, lowest: <y>



<w>
Compound: LiSn2P5O16
Source: the Materials Project
Functional: GGA-PBE
Structure: optimized geometry

Values from the calculation:
- total magnetic moment (Bohr magnetons per cell) = 3.7
- crystal system = monoclinic

```
data_LiSn2P5O16
_chemical_formula_sum 'Li2 Sn4 P10 O32'
_space_group_name_H-M_alt 'P 1 c 1'
_space_group_IT_number 7
_cell_length_a 5.2014
_cell_length_b 7.1903
_cell_length_c 19.0449
_cell_angle_alpha 90.00
_cell_angle_beta 92.47
_cell_angle_gamma 90.00
loop_
_space_group_symop_operation_xyz
'x,y,z'
'x,-y,z+1/2'
loop_
_atom_site_label
_atom_site_type_symbol
_atom_site_fract_x
_atom_site_fract_y
_atom_site_fract_z
Li1 Li 0.0000 0.1314 0.0000
Sn1 Sn 0.0468 0.3393 0.5551
Sn2 Sn 0.5347 0.3410 0.8749
P1 P 0.0451 0.3597 0.3798
P2 P 0.0673 0.0350 0.8355
P3 P 0.5227 0.3513 0.0527
P4 P 0.5291 0.0256 0.5977
P5 P 0.7858 0.2402 0.7168
O1 O 0.0435 0.1838 0.3263
O2 O 0.1837 0.2945 0.4482
O3 O 0.1910 0.4862 0.8423
O4 O 0.2566 0.0793 0.5738
O5 O 0.3519 0.0813 0.8414
O6 O 0.3573 0.2761 0.9900
O7 O 0.4083 0.4743 0.5857
O8 O 0.5173 0.1924 0.1148
O9 O 0.5807 0.1082 0.6752
O10 O 0.6387 0.3571 0.7667
O11 O 0.7449 0.0685 0.5499
O12 O 0.7603 0.4041 0.3877
O13 O 0.8087 0.3704 0.0365
O14 O 0.9026 0.1146 0.8917
O15 O 0.9511 0.3460 0.6678
O16 O 0.9597 0.0884 0.7576
```



<x>
Compound: LiSn2P5O16
Source: the Materials Project
Functional: GGA-PBE
Structure: optimized geometry

Values from the calculation:
- total magnetic moment (Bohr magnetons per cell) = 0.0
- crystal system = monoclinic

```
data_LiSn2P5O16
_chemical_formula_sum 'Li2 Sn4 P10 O32'
_space_group_name_H-M_alt 'P 1 c 1'
_space_group_IT_number 7
_cell_length_a 7.3698
_cell_length_b 10.3473
_cell_length_c 10.6632
_cell_angle_alpha 90.00
_cell_angle_beta 109.94
_cell_angle_gamma 90.00
loop_
_space_group_symop_operation_xyz
'x,y,z'
'x,-y,z+1/2'
loop_
_atom_site_label
_atom_site_type_symbol
_atom_site_fract_x
_atom_site_fract_y
_atom_site_fract_z
Li1 Li 0.0000 0.1908 0.0000
Sn1 Sn 0.3914 0.1277 0.8071
Sn2 Sn 0.9556 0.3703 0.4422
P1 P 0.1375 0.4130 0.7730
P2 P 0.2754 0.1286 0.4709
P3 P 0.5457 0.4675 0.8051
P4 P 0.5979 0.2883 0.1866
P5 P 0.6578 0.1421 0.4370
O1 O 0.0232 0.4723 0.8545
O2 O 0.0691 0.4582 0.6259
O3 O 0.1394 0.2678 0.7936
O4 O 0.1985 0.2702 0.4529
O5 O 0.2122 0.0502 0.3428
O6 O 0.2500 0.0595 0.5897
O7 O 0.3494 0.4774 0.8387
O8 O 0.5044 0.4302 0.1823
O9 O 0.5108 0.1536 0.5154
O10 O 0.5112 0.2288 0.0530
O11 O 0.5332 0.2132 0.2977
O12 O 0.5773 0.3346 0.7642
O13 O 0.6987 0.4704 0.4253
O14 O 0.7069 0.0057 0.4142
O15 O 0.8189 0.2995 0.2451
O16 O 0.8326 0.2243 0.5146
```



Stability, lowest: <x>



<w>
Compound: LiTi2P3O12
Source: the Materials Project
Functional: GGA-PBE
Structure: optimized geometry

Values from the calculation:
- total magnetic moment (Bohr magnetons per cell) = 0.0
- crystal system = monoclinic

```
data_LiTi2P3O12
_chemical_formula_sum 'Li4 Ti8 P12 O48'
_space_group_name_H-M_alt 'P 1 21/c 1'
_space_group_IT_number 14
_cell_length_a 8.7176
_cell_length_b 11.9991
_cell_length_c 8.6399
_cell_angle_alpha 90.00
_cell_angle_beta 90.09
_cell_angle_gamma 90.00
loop_
_space_group_symop_operation_xyz
'x,y,z'
'-x,-y,-z'
'-x,y+1/2,-z+1/2'
'x,-y+1/2,z+1/2'
loop_
_atom_site_label
_atom_site_type_symbol
_atom_site_fract_x
_atom_site_fract_y
_atom_site_fract_z
Li1 Li 0.2290 0.1824 0.2124
Ti1 Ti 0.0321 0.1161 0.7457
Ti2 Ti 0.4511 0.6210 0.2495
P1 P 0.1039 0.6448 0.3985
P2 P 0.2525 0.0017 0.4602
P3 P 0.3949 0.1446 0.8915
O1 O 0.0157 0.2231 0.1783
O2 O 0.0663 0.5253 0.3433
O3 O 0.0891 0.6557 0.5745
O4 O 0.1478 0.5754 0.8621
O5 O 0.1509 0.0754 0.5632
O6 O 0.2309 0.1772 0.8374
O7 O 0.2691 0.6739 0.3493
O8 O 0.3441 0.0788 0.3515
O9 O 0.3523 0.5727 0.0636
O10 O 0.4013 0.1541 0.0700
O11 O 0.4332 0.0260 0.8371
O12 O 0.4902 0.7284 0.6797
```



<x>
Compound: LiTi2P3O12
Source: the Materials Project
Functional: GGA-PBE
Structure: optimized geometry

Values from the calculation:
- total magnetic moment (Bohr magnetons per cell) = 0.0
- crystal system = triclinic

```
data_LiTi2P3O12
_chemical_formula_sum 'Li2 Ti4 P6 O24'
_space_group_name_H-M_alt 'P 1'
_space_group_IT_number 1
_cell_length_a 8.3899
_cell_length_b 8.4039
_cell_length_c 8.9765
_cell_angle_alpha 62.12
_cell_angle_beta 62.19
_cell_angle_gamma 60.13
loop_
_space_group_symop_operation_xyz
'x,y,z'
loop_
_atom_site_label
_atom_site_type_symbol
_atom_site_fract_x
_atom_site_fract_y
_atom_site_fract_z
Li1 Li 0.0000 0.0000 0.0000
Li2 Li 0.4273 0.3348 0.0042
Ti1 Ti 0.0264 0.6089 0.0770
Ti2 Ti 0.3339 0.9005 0.1946
Ti3 Ti 0.5412 0.1150 0.5604
Ti4 Ti 0.8293 0.4112 0.6941
P1 P 0.1512 0.2895 0.8816
P2 P 0.2199 0.2268 0.3784
P3 P 0.4334 0.7259 0.8864
P4 P 0.6487 0.5059 0.3849
P5 P 0.7152 0.0135 0.8819
P6 P 0.9330 0.8005 0.3780
O1 O 0.0522 0.2643 0.5464
O2 O 0.1401 0.7869 0.3333
O3 O 0.1601 0.0933 0.0304
O4 O 0.1699 0.4285 0.9372
O5 O 0.2121 0.0787 0.3282
O6 O 0.2127 0.4156 0.2185
O7 O 0.2207 0.7457 0.9363
O8 O 0.3137 0.2616 0.7105
O9 O 0.4129 0.1490 0.4110
O10 O 0.4610 0.7473 0.0343
O11 O 0.4820 0.8807 0.7112
O12 O 0.5075 0.7151 0.3293
O13 O 0.5161 0.0541 0.0282
O14 O 0.5674 0.5214 0.8670
O15 O 0.5747 0.3608 0.4083
O16 O 0.6743 0.4680 0.5593
O17 O 0.6933 0.0529 0.7078
O18 O 0.7859 0.9939 0.4059
O19 O 0.8031 0.1497 0.8636
O20 O 0.8477 0.4845 0.2374
O21 O 0.8556 0.8034 0.9414
O22 O 0.8899 0.6360 0.5477
O23 O 0.9172 0.7878 0.2185
O24 O 0.9540 0.3734 0.8516
```



<y>
Compound: LiTi2P3O12
Source: the Materials Project
Functional: GGA-PBE
Structure: optimized geometry

Values from the calculation:
- total magnetic moment (Bohr magnetons per cell) = 0.0
- crystal system = triclinic

```
data_LiTi2P3O12
_chemical_formula_sum 'Li2 Ti4 P6 O24'
_space_group_name_H-M_alt 'P 1'
_space_group_IT_number 1
_cell_length_a 8.3310
_cell_length_b 8.3817
_cell_length_c 8.9996
_cell_angle_alpha 90.23
_cell_angle_beta 117.54
_cell_angle_gamma 119.48
loop_
_space_group_symop_operation_xyz
'x,y,z'
loop_
_atom_site_label
_atom_site_type_symbol
_atom_site_fract_x
_atom_site_fract_y
_atom_site_fract_z
Li1 Li 0.0000 0.0000 0.0000
Li2 Li 0.1646 0.9536 0.3384
Ti1 Ti 0.2557 0.3859 0.3483
Ti2 Ti 0.2675 0.8785 0.8586
Ti3 Ti 0.6587 0.5721 0.9730
Ti4 Ti 0.6903 0.0929 0.4918
P1 P 0.1826 0.4802 0.6691
P2 P 0.1864 0.7043 0.1652
P3 P 0.4644 0.2615 0.1680
P4 P 0.4789 0.2053 0.6748
P5 P 0.7496 0.9784 0.1641
P6 P 0.7520 0.7631 0.6678
O1 O 0.1336 0.5076 0.1971
O2 O 0.1729 0.4392 0.4968
O3 O 0.2321 0.7208 0.0176
O4 O 0.2439 0.6874 0.7170
O5 O 0.2782 0.0672 0.0195
O6 O 0.3255 0.0591 0.7290
O7 O 0.3290 0.2157 0.4952
O8 O 0.3441 0.3402 0.1969
O9 O 0.3539 0.4569 0.8192
O10 O 0.3774 0.8674 0.3389
O11 O 0.5488 0.5974 0.4999
O12 O 0.5864 0.0097 0.0163
O13 O 0.5947 0.1250 0.6434
O14 O 0.5988 0.2345 0.3388
O15 O 0.6175 0.4041 0.1125
O16 O 0.6490 0.4020 0.8172
O17 O 0.6861 0.7690 0.1146
O18 O 0.7194 0.7570 0.8246
O19 O 0.7684 0.0245 0.3385
O20 O 0.7958 0.9559 0.6348
O21 O 0.9537 0.7593 0.7181
O22 O 0.9605 0.3338 0.6417
O23 O 0.9799 0.1071 0.1881
O24 O 0.9946 0.7279 0.1216
```



Stability, lowest: <y>